Record 1
! Sm4In21Pd10 PBE relaxed; values from VASP
! Energy above the most stable polymorph in this dataset = 0.002 eV per atom
! Formation energy from the elements = -1757 kJ/mol of formula units
&SYSTEM
  ibrav = 0, nat = 35, ntyp = 3
/
ATOMIC_SPECIES
Sm 150.36 Sm.upf
In 114.82 In.upf
Pd 106.42 Pd.upf
ATOMIC_POSITIONS angstrom
Sm 0.0094 9.4097 9.5606
In -0.0019 23.9954 1.3737
Pd 0.0154 23.6092 8.8134
In -0.0074 14.3424 5.2760
Pd -0.0379 19.8572 11.6340
In 0.0465 7.1020 6.4541
In 0.0248 22.6283 11.4809
In -0.0265 3.4746 2.9062
In -0.0147 14.5201 14.2992
Pd 0.0205 12.0421 12.8353
In 0.0248 10.6102 2.8789
In -0.0019 9.2432 12.9861
In 0.0249 17.3017 4.2505
Pd 0.0205 21.1965 1.5245
In 0.0088 20.3730 4.2225
In -0.0074 18.8962 9.0838
In 0.0088 12.8656 10.1373
In 0.0166 19.1852 14.2921
Sm 0.0094 23.8289 4.7992
In 0.0249 15.9369 10.1093
Pd -0.0379 13.3814 2.7258
In -0.0147 18.7185 0.0606
In 0.0465 26.1366 7.9057
In 0.0020 21.2992 7.1495
Pd -0.0004 28.8236 8.7752
In -0.0265 29.7640 11.4536
In 0.0166 14.0534 0.0677
Sm 0.0310 26.1803 11.8460
In 0.0020 11.9393 7.2103
Sm 0.0310 7.0583 2.5138
Pd -0.0004 4.4149 5.5846
In 0.0140 16.6193 7.1799
Pd 0.0343 16.3876 1.6511
Pd 0.0154 9.6294 5.5464
Pd 0.0343 16.8510 12.7087
CELL_PARAMETERS angstrom
2.2654 11.6783 0.0000
-2.2654 11.6783 0.0000
0.0000 9.8821 14.3598


Record 2
! Lu2Fe3Si5 PBE relaxed; values from VASP
! Formation energy from the elements = -632 kJ/mol of formula units
&SYSTEM
  ibrav = 0, nat = 40, ntyp = 3
/
ATOMIC_SPECIES
Si 28.09 Si.upf
Fe 55.84 Fe.upf
Lu 174.97 Lu.upf
ATOMIC_POSITIONS angstrom
Si -4.3006 9.3345 2.3956
Fe -2.2354 3.6821 6.8814
Lu -4.2578 6.8378 3.4652
Fe -1.3638 6.4387 4.2812
Fe 0.6295 0.4278 6.4892
Si 1.1042 2.3895 4.8637
Fe -5.0499 0.4732 7.5840
Si -2.5089 8.3776 7.7197
Si -1.9393 3.2668 9.1651
Fe 1.9598 5.9253 1.9337
Si -1.6598 6.8540 1.9975
Si -4.1337 2.6204 7.7443
Lu -2.5483 3.9867 2.1221
Lu 1.1956 2.9206 1.9288
Si -7.0137 5.6903 8.2436
Lu -3.7302 1.9902 4.8557
Si -3.6873 -0.5065 5.9253
Si -2.8582 4.7486 4.8959
Lu -2.0519 0.5038 8.0439
Si -1.0737 1.8722 5.9107
Si -1.0902 1.7431 3.4428
Si -4.7033 7.7313 6.2989
Fe -0.7603 3.7711 4.5628
Fe -6.8950 7.7609 7.1183
Fe -1.5649 -0.2186 5.0684
Lu -4.7948 7.2002 9.2337
Si 3.3302 0.9809 2.1562
Lu -1.5473 9.6170 3.1187
Si -0.7410 5.3722 6.2667
Si 0.5346 7.5004 3.4183
Fe -1.0930 1.0671 1.2026
Fe -2.9381 8.3549 0.7369
Fe -0.2347 5.2789 0.5129
Si 1.0586 0.3118 0.6854
Si -2.5254 8.2486 5.2519
Si -3.5608 4.9459 8.3535
Fe -2.8388 6.3497 6.5998
Si -0.9743 3.1377 0.0773
Lu -5.4397 4.8414 6.1988
Si -0.0384 5.1749 2.8091
CELL_PARAMETERS angstrom
-2.6637 9.9115 -0.3951
-5.3243 -1.0835 8.7160
4.3888 1.2928 2.8417


Record 3
! RbAcO3 PBE relaxed; values from VASP
! Formation energy from the elements = -1074 kJ/mol of formula units
&SYSTEM
  ibrav = 0, nat = 5, ntyp = 3
/
ATOMIC_SPECIES
Ac 227.00 Ac.upf
O 16.00 O.upf
Rb 85.47 Rb.upf
ATOMIC_POSITIONS angstrom
Ac 2.3181 2.3181 2.3181
O 2.3181 2.3181 0.0000
O 0.0000 2.3181 2.3181
Rb 0.0000 0.0000 0.0000
O 2.3181 0.0000 2.3181
CELL_PARAMETERS angstrom
4.6362 0.0000 0.0000
0.0000 4.6362 0.0000
0.0000 0.0000 4.6362